1.
The following is a r2SCAN calculation of a relaxed LaSb2Pd crystal, from the Materials Project.

Computed properties:
Space-group type: P4/nmm, No. 129
ρ, Mg/m³: 7.79
Energy of formation, eV/atom: -0.982

a b c (Å): 4.5337 4.5337 10.1390
angles (deg): 90.00 90.00 90.00
Element x y z (fractional)
La1 0.2500 0.2500 0.2504
La2 0.7500 0.7500 0.7496
Sb1 0.2500 0.2500 0.6423
Sb2 0.2500 0.7500 0.0000
Sb3 0.7500 0.2500 0.0000
Sb4 0.7500 0.7500 0.3577
Pd1 0.2500 0.7500 0.5000
Pd2 0.7500 0.2500 0.5000


2.
The following is a r2SCAN calculation of a relaxed LaSb2Pd2 crystal, from the Materials Project.

Computed properties:
Space-group type: P4/nmm, No. 129
ρ, Mg/m³: 8.61
Energy of formation, eV/atom: -0.957

a b c (Å): 4.6967 4.6967 10.4074
angles (deg): 90.00 90.00 90.00
Element x y z (fractional)
La1 0.2500 0.2500 0.2415
La2 0.7500 0.7500 0.7585
Sb1 0.2500 0.2500 0.8732
Sb2 0.2500 0.7500 0.5000
Sb3 0.7500 0.2500 0.5000
Sb4 0.7500 0.7500 0.1268
Pd1 0.2500 0.2500 0.6229
Pd2 0.2500 0.7500 0.0000
Pd3 0.7500 0.2500 0.0000
Pd4 0.7500 0.7500 0.3771


3.
The following is a r2SCAN calculation of a relaxed LaSiPd crystal, from the Materials Project.

Computed properties:
Space-group type: P2_1/c, No. 14
ρ, Mg/m³: 6.99
Energy of formation, eV/atom: -1.002

a b c (Å): 10.9558 5.9740 7.9484
angles (deg): 90.00 92.63 90.00
Element x y z (fractional)
La1 0.1295 0.1324 0.3287
La2 0.1295 0.3676 0.8287
La3 0.3593 0.6389 0.4686
La4 0.3593 0.8611 0.9686
La5 0.6407 0.1389 0.0314
La6 0.6407 0.3611 0.5314
La7 0.8705 0.6324 0.1713
La8 0.8705 0.8676 0.6713
Si1 0.0781 0.6296 0.4681
Si2 0.0781 0.8704 0.9681
Si3 0.3600 0.1418 0.6306
Si4 0.3600 0.3582 0.1306
Si5 0.6400 0.6418 0.8694
Si6 0.6400 0.8582 0.3694
Si7 0.9219 0.1296 0.0319
Si8 0.9219 0.3704 0.5319
Pd1 0.1707 0.6089 0.1808
Pd2 0.1707 0.8911 0.6808
Pd3 0.4467 0.1001 0.3429
Pd4 0.4467 0.3999 0.8429
Pd5 0.5533 0.6001 0.1571
Pd6 0.5533 0.8999 0.6571
Pd7 0.8293 0.1089 0.3192
Pd8 0.8293 0.3911 0.8192


4.
The following is a r2SCAN calculation of a relaxed LaSn2Pd crystal, from the Materials Project.

Computed properties:
Space-group type: Cmcm, No. 63
ρ, Mg/m³: 7.89
Energy of formation, eV/atom: -0.852

a b c (Å): 9.8953 9.8953 4.6326
angles (deg): 90.00 90.00 153.38
Element x y z (fractional)
La1 0.1086 0.8914 0.7500
La2 0.8914 0.1086 0.2500
Sn1 0.2511 0.7489 0.2500
Sn2 0.4581 0.5419 0.7500
Sn3 0.5419 0.4581 0.2500
Sn4 0.7489 0.2511 0.7500
Pd1 0.3230 0.6770 0.7500
Pd2 0.6770 0.3230 0.2500


5.
The following is a r2SCAN calculation of a relaxed La3Zn4Pd4 crystal, from the Materials Project.

Computed properties:
Space-group type: Immm, No. 71
ρ, Mg/m³: 8.13
Energy of formation, eV/atom: -0.721

a b c (Å): 8.3804 8.3804 8.3804
angles (deg): 150.95 127.30 61.30
Element x y z (fractional)
La1 0.0000 0.0000 0.0000
La2 0.3703 0.8703 0.5000
La3 0.6297 0.1297 0.5000
Zn1 0.0167 0.3266 0.6901
Zn2 0.3635 0.6734 0.6901
Zn3 0.6365 0.3266 0.3099
Zn4 0.9833 0.6734 0.3099
Pd1 0.2160 0.2160 0.0000
Pd2 0.3024 0.5000 0.8024
Pd3 0.6976 0.5000 0.1976
Pd4 0.7840 0.7840 0.0000


6.
The following is a r2SCAN calculation of a relaxed LaPmTl2 crystal, from the Materials Project.

Computed properties:
Space-group type: Fm-3m, No. 225
ρ, Mg/m³: 9.53
Energy of formation, eV/atom: -0.526

a b c (Å): 5.5475 5.5475 5.5475
angles (deg): 60.00 60.00 60.00
Element x y z (fractional)
La1 0.0000 0.0000 0.0000
Pm1 0.5000 0.5000 0.5000
Tl1 0.2500 0.2500 0.2500
Tl2 0.7500 0.7500 0.7500


7.
The following is a r2SCAN calculation of a relaxed LaPmZn2 crystal, from the Materials Project.

Computed properties:
Space-group type: Fm-3m, No. 225
ρ, Mg/m³: 6.82
Energy of formation, eV/atom: -0.334

a b c (Å): 5.2270 5.2270 5.2270
angles (deg): 60.00 60.00 60.00
Element x y z (fractional)
La1 0.0000 0.0000 0.0000
Pm1 0.5000 0.5000 0.5000
Zn1 0.2500 0.2500 0.2500
Zn2 0.7500 0.7500 0.7500


8.
The following is a r2SCAN calculation of a relaxed LaPr3 crystal, from the Materials Project.

Computed properties:
Space-group type: Pm-3m, No. 221
ρ, Mg/m³: 6.37
Energy of formation, eV/atom: 0.032

a b c (Å): 5.2715 5.2715 5.2715
angles (deg): 90.00 90.00 90.00
Element x y z (fractional)
La1 0.0000 0.0000 0.0000
Pr1 0.0000 0.5000 0.5000
Pr2 0.5000 0.0000 0.5000
Pr3 0.5000 0.5000 0.0000


Number 1: uncorrected energy -27.0115 eV/atom. Number 2: uncorrected energy -26.3730 eV/atom. Number 3: uncorrected energy -21.4953 eV/atom. Number 4: uncorrected energy -26.4014 eV/atom. Number 5: uncorrected energy -20.4224 eV/atom. Number 6: uncorrected energy -41.9371 eV/atom. Number 7: uncorrected energy -19.6110 eV/atom. Number 8: uncorrected energy -29.4571 eV/atom.